Entry 1:
Sc3Al GGA-PBE relaxed; E_form = -0.248 eV/atom; calculated volume = 87 Å³/cell; space group = Pm-3m, No. 221
1.0
4.4299 0.0000 0.0000
0.0000 4.4299 0.0000
0.0000 0.0000 4.4299
Sc Al
3 1
direct
0.0000 0.5000 0.5000 Sc
0.5000 0.5000 0.0000 Sc
0.5000 0.0000 0.5000 Sc
0.0000 0.0000 0.0000 Al

Entry 2:
Tb2Al3Si2 GGA-PBE relaxed; E_form = -0.532 eV/atom; calculated volume = 136 Å³/cell; space group = C2/m, No. 12; E (MP2020) = -5.011 eV/atom
1.0
1.3049 3.4192 1.7434
-4.4321 0.8995 -3.1596
-2.9300 -1.7847 5.6931
Si Al Tb
2 3 2
direct
0.9073 0.8146 0.3594 Si
0.0927 0.1854 0.6406 Si
0.0000 0.0000 0.0000 Al
0.3056 0.6112 0.1336 Al
0.6944 0.3888 0.8664 Al
0.6199 0.2397 0.3226 Tb
0.3801 0.7603 0.6774 Tb

Entry 3:
LaCoSi3 GGA-PBE relaxed; E_form = -0.641 eV/atom; calculated volume = 84 Å³/cell; space group = I4mm, No. 107; E (MP2020) = -6.306 eV/atom
1.0
-2.0864 2.0864 4.8525
2.0864 -2.0864 4.8525
2.0864 2.0864 -4.8525
Si Co La
3 1 1
direct
0.7612 0.2612 0.5000 Si
0.2612 0.7612 0.5000 Si
0.4263 0.4263 0.0000 Si
0.6624 0.6624 0.0000 Co
0.0040 0.0040 0.0000 La

Entry 4:
Sr5Sb3 GGA-PBE relaxed; E_form = -1.069 eV/atom; calculated volume = 595 Å³/cell; space group = P6_3/mcm, No. 193; E (MP2020) = -3.673 eV/atom
1.0
4.7977 -8.3099 0.0000
4.7977 8.3099 0.0000
0.0000 0.0000 7.4636
Sr Sb
10 6
direct
0.0000 0.2532 0.2500 Sr
0.2532 0.0000 0.2500 Sr
0.6667 0.3333 0.0000 Sr
0.0000 0.7468 0.7500 Sr
0.7468 0.7468 0.2500 Sr
0.6667 0.3333 0.5000 Sr
0.2532 0.2532 0.7500 Sr
0.3333 0.6667 0.0000 Sr
0.7468 0.0000 0.7500 Sr
0.3333 0.6667 0.5000 Sr
0.6098 0.6098 0.7500 Sb
0.3902 0.0000 0.7500 Sb
0.0000 0.3902 0.7500 Sb
0.3902 0.3902 0.2500 Sb
0.0000 0.6098 0.2500 Sb
0.6098 0.0000 0.2500 Sb

Entry 5:
Gd6CoBr10 GGA-PBE relaxed; E_form = -1.909 eV/atom; calculated volume = 554 Å³/cell; space group = P-1, No. 2; E (MP2020) = -8.258 eV/atom
1.0
7.3495 0.0102 -0.9463
-2.9582 8.1462 -2.9790
-0.0078 -0.0048 9.2571
Br Gd Co
10 6 1
direct
0.1305 0.5310 0.2206 Br
0.5893 0.3709 0.3217 Br
0.7040 0.7322 0.1399 Br
0.4107 0.6291 0.6783 Br
0.0485 0.1803 0.4138 Br
0.8695 0.4690 0.7794 Br
0.2338 0.9114 0.0368 Br
0.2960 0.2678 0.8601 Br
0.7662 0.0886 0.9632 Br
0.9515 0.8197 0.5862 Br
0.5251 0.7036 0.4064 Gd
0.8646 0.1391 0.6814 Gd
0.1354 0.8609 0.3186 Gd
0.3766 0.9556 0.7487 Gd
0.6234 0.0444 0.2513 Gd
0.4749 0.2964 0.5936 Gd
0.5000 0.0000 0.5000 Co

Entry 6:
SrSm3 GGA-PBE relaxed; M_tot = 0.01 μB per formula unit; E_form = 0.164 eV/atom; calculated volume = 149 Å³/cell; space group = I4/mmm, No. 139
1.0
-0.1621 -6.4914 -0.3305
2.2118 -2.5228 5.5693
-4.5058 4.5232 -1.2297
Sm Sr
3 1
direct
0.2500 0.7500 0.5000 Sm
0.5000 0.5000 0.0000 Sm
0.7500 0.2500 0.5000 Sm
0.0000 0.0000 0.0000 Sr